Entry 1:
AlCo3Si3O12, relaxed, DFT PBE with a Hubbard U; symmetry = Ia-3, No. 206; total magnetization = 12.00 μB/f.u.; V = 9.9 Å³/atom; calculated formation energy = -2.1934 eV per atom
1.0
-5.724 5.724 5.724
5.724 -5.724 5.724
5.724 5.724 -5.724
Al Co Si O
4 12 12 48
Cartesian
0.000 0.000 0.000 Al
5.724 0.000 0.000 Al
0.000 5.724 0.000 Al
0.000 0.000 5.724 Al
5.724 2.862 -1.551 Co
2.862 1.551 0.000 Co
1.551 0.000 2.862 Co
7.275 0.000 2.862 Co
2.862 -1.551 5.724 Co
0.000 2.862 1.551 Co
5.724 2.862 4.173 Co
2.862 7.275 0.000 Co
-1.551 5.724 2.862 Co
4.173 5.724 2.862 Co
2.862 4.173 5.724 Co
0.000 2.862 7.275 Co
5.724 -2.862 4.286 Si
8.586 1.438 0.000 Si
4.286 5.724 -2.862 Si
4.286 0.000 2.862 Si
2.862 4.286 0.000 Si
5.724 2.862 1.438 Si
0.000 2.862 4.286 Si
2.862 1.438 5.724 Si
1.438 5.724 2.862 Si
1.438 0.000 8.586 Si
-2.862 4.286 5.724 Si
0.000 8.586 1.438 Si
1.749 -0.361 0.600 O
6.700 3.629 -3.212 O
7.473 0.361 0.600 O
6.700 -2.095 3.212 O
8.936 -0.976 2.095 O
5.363 -0.600 1.749 O
0.600 1.749 -0.361 O
7.819 2.512 -0.976 O
5.124 1.749 0.361 O
3.629 3.212 -0.976 O
-0.361 0.600 1.749 O
3.212 -0.976 3.629 O
3.212 0.976 2.095 O
5.363 5.124 -1.749 O
3.629 -3.212 6.700 O
5.124 -1.749 5.363 O
2.095 3.212 0.976 O
6.324 3.975 0.361 O
5.363 0.600 3.975 O
3.212 6.700 -2.095 O
6.700 2.095 2.512 O
1.749 5.363 -0.600 O
0.976 2.095 3.212 O
1.749 0.361 5.124 O
3.975 5.363 0.600 O
4.748 3.629 2.512 O
3.975 0.361 6.324 O
-0.976 3.629 3.212 O
2.512 -0.976 7.819 O
0.361 5.124 1.749 O
-0.600 1.749 5.363 O
3.629 2.512 4.748 O
0.600 7.473 0.361 O
2.095 8.936 -0.976 O
0.361 0.600 7.473 O
2.512 4.748 3.629 O
2.512 6.700 2.095 O
6.085 5.124 3.975 O
2.095 2.512 6.700 O
0.600 3.975 5.363 O
-2.095 3.212 6.700 O
5.124 3.975 6.085 O
0.361 6.324 3.975 O
-3.212 6.700 3.629 O
-0.976 7.819 2.512 O
-1.749 5.363 5.124 O
-0.976 2.095 8.936 O
3.975 6.085 5.124 O


Entry 2:
Sr2YAlCo2O7, relaxed, DFT PBE with a Hubbard U; symmetry = Ima2, No. 46; total magnetization = 2.00 μB/f.u.; V = 13.5 Å³/atom; calculated formation energy = -2.6692 eV per atom
1.0
-11.064 2.863 2.772
11.064 -2.863 2.772
11.064 2.863 -2.772
Sr Y Al Co O
4 2 2 4 14
Cartesian
3.394 0.153 0.000 Sr
7.670 0.153 0.000 Sr
3.394 2.710 2.772 Sr
7.670 2.710 2.772 Sr
0.000 0.000 0.046 Y
11.064 0.000 0.046 Y
5.532 -0.445 2.655 Al
5.532 3.308 -0.116 Al
1.814 -0.026 2.825 Co
9.251 -0.026 2.825 Co
1.814 2.889 0.053 Co
9.251 2.889 0.053 Co
5.532 -0.920 0.901 O
12.588 1.254 -1.146 O
9.540 -1.609 1.626 O
9.634 1.594 -1.453 O
12.495 -1.270 1.319 O
16.597 0.920 0.901 O
1.431 1.270 1.319 O
9.634 1.270 1.319 O
3.985 2.531 0.194 O
7.079 2.531 0.194 O
-1.524 1.609 1.626 O
12.588 1.609 1.626 O
3.985 0.332 2.966 O
7.079 0.332 2.966 O


Entry 3:
AlCoW2O8, relaxed, DFT PBE with a Hubbard U; symmetry = P2/c, No. 13; total magnetization = 2.00 μB/f.u.; V = 10.9 Å³/atom; calculated formation energy = -2.1712 eV per atom
1.0
5.029 0.000 0.000
0.000 5.698 0.000
-4.868 0.000 9.139
Al Co W O
2 2 4 16
Cartesian
-1.217 0.885 2.285 Al
-3.651 4.813 6.854 Al
-1.136 0.824 6.854 Co
1.297 4.875 2.285 Co
-3.638 1.871 9.118 W
-1.205 3.827 4.549 W
1.366 1.871 4.590 W
3.800 3.827 0.021 W
-2.068 2.215 5.605 O
0.366 3.483 1.036 O
0.366 0.804 1.256 O
-2.068 4.894 5.826 O
-2.969 0.578 7.958 O
-0.535 5.120 3.388 O
-0.339 2.175 3.544 O
-2.772 3.523 8.113 O
2.934 2.175 1.026 O
0.500 3.523 5.595 O
0.696 0.578 5.751 O
3.130 5.120 1.181 O
2.229 0.804 3.313 O
-0.204 4.894 7.883 O
-0.205 2.215 8.103 O
2.229 3.483 3.534 O